[1]
The following is a DFT calculation (r²SCAN) of Y2HfO5 after structural relaxation.

a = 7.4613 Å, b = 3.7344 Å, c = 15.6501 Å
α = 90.00°, β = 90.00°, γ = 90.00°
Sites, in units of the cell vectors:
Y: 0.0944 0.2500 0.0890
Y: 0.1412 0.2500 0.7399
Y: 0.3588 0.7500 0.2399
Y: 0.4056 0.7500 0.5890
Y: 0.5944 0.2500 0.4110
Y: 0.6412 0.2500 0.7601
Y: 0.8588 0.7500 0.2601
Y: 0.9056 0.7500 0.9110
Hf: 0.1238 0.2500 0.4284
Hf: 0.3762 0.7500 0.9284
Hf: 0.6238 0.2500 0.0716
Hf: 0.8762 0.7500 0.5716
O: 0.0900 0.7500 0.4663
O: 0.0966 0.7500 0.1791
O: 0.0974 0.7500 0.6534
O: 0.1434 0.7500 0.0037
O: 0.2016 0.7500 0.8301
O: 0.2984 0.2500 0.3301
O: 0.3566 0.2500 0.5037
O: 0.4026 0.2500 0.1534
O: 0.4034 0.2500 0.6791
O: 0.4100 0.2500 0.9663
O: 0.5900 0.7500 0.0337
O: 0.5966 0.7500 0.3209
O: 0.5974 0.7500 0.8466
O: 0.6434 0.7500 0.4963
O: 0.7016 0.7500 0.6699
O: 0.7984 0.2500 0.1699
O: 0.8566 0.2500 0.9963
O: 0.9026 0.2500 0.3466
O: 0.9034 0.2500 0.8209
O: 0.9100 0.2500 0.5337

Computed properties:
space group: Pnma, No. 62
energy: -587.47 eV per cell
formation energy from the elements: -3.903 eV per atom

[2]
The following is a DFT calculation (r²SCAN) of VCr after structural relaxation.

a = 2.5531 Å, b = 2.5531 Å, c = 4.0020 Å
α = 90.00°, β = 90.00°, γ = 110.71°
Sites, in units of the cell vectors:
V: 0.0000 0.0000 0.0000
Cr: 0.5000 0.5000 0.5000

Computed properties:
space group: Cmmm, No. 65
energy: -28.98 eV per cell
formation energy from the elements: 0.091 eV per atom